(1)
This record from the Materials Project database describes a relaxed structure of PbAuO2. The functional is GGA-PBE.

- E_form (eV/atom) = -0.95
- calculated density (g/cm3) = 9.520

The structure in extended XYZ format:
```
8
Lattice="1.8755 -3.2485 0.0000 1.8755 3.2485 0.0000 0.0000 0.0000 12.4870" Properties=species:S:1:pos:R:3 pbc="T T T"
Pb 0.0000 0.0000 6.2435
O 1.8755 -1.0828 11.3734
Au 1.8755 -1.0828 9.3652
Pb 0.0000 0.0000 0.0000
O 1.8755 1.0828 1.1135
Au 1.8755 1.0828 3.1217
O 1.8755 -1.0828 7.3570
O 1.8755 1.0828 5.1299
```

(2)
This record from the Materials Project database describes a relaxed structure of PbAuO2. The functional is GGA-PBE.

- E_form (eV/atom) = -0.96
- calculated density (g/cm3) = 9.623

The structure in extended XYZ format:
```
8
Lattice="1.8263 6.3343 0.0000 -1.8263 6.3343 0.0000 0.0000 1.0474 6.5059" Properties=species:S:1:pos:R:3 pbc="T T T"
O 0.0000 7.7146 1.7469
O 0.0000 6.0013 4.7590
Pb 0.0000 0.5237 3.2530
Au 0.0000 4.0001 5.1165
Pb 0.0000 6.3343 0.0000
Au 0.0000 9.7158 1.3894
O 0.0000 11.7378 1.1317
O 0.0000 1.9781 5.3742
```

(3)
This record from the Materials Project database describes a relaxed structure of PdAuO2. The functional is GGA-PBE.

- E_form (eV/atom) = -0.58
- calculated density (g/cm3) = 9.542

The structure in extended XYZ format:
```
8
Lattice="1.5469 6.3023 0.0000 -1.5469 6.3023 0.0000 0.0000 1.9907 5.9864" Properties=species:S:1:pos:R:3 pbc="T T T"
Au 0.0000 9.6818 1.2610
O 0.0000 7.6289 1.6630
Au 0.0000 4.9135 4.7254
O 0.0000 6.9665 4.3234
Pd 0.0000 6.3023 0.0000
Pd 0.0000 0.9953 2.9932
O 0.0000 2.8967 4.9814
O 0.0000 11.6986 1.0050
```

(4)
This record from the Materials Project database describes a relaxed structure of PdAuO2. The functional is GGA-PBE.

- E_form (eV/atom) = -0.57
- calculated density (g/cm3) = 9.918

The structure in extended XYZ format:
```
4
Lattice="-1.2471 0.1905 -6.3268 -4.0530 -0.6981 -4.9705 -3.2071 2.4294 -5.0430" Properties=species:S:1:pos:R:3 pbc="T T T"
O -7.5583 1.7074 -14.5176
Au 0.0000 0.0000 0.0000
O -0.9489 0.2144 -1.8227
Pd -4.2536 0.9609 -8.1701
```

(5)
This record from the Materials Project database describes a relaxed structure of PdAuO2. The functional is GGA-PBE.

- E_form (eV/atom) = -0.57
- calculated density (g/cm3) = 9.855

The structure in extended XYZ format:
```
8
Lattice="2.3139 0.9629 -2.1038 -2.8127 1.6589 0.2105 4.8538 7.1377 8.6053" Properties=species:S:1:pos:R:3 pbc="T T T"
Pd 0.0000 0.0000 0.0000
Au 4.2454 6.5482 5.1216
Pd 2.4269 3.5688 4.3027
O 3.4257 5.3427 3.6683
O 5.0651 7.7536 6.5749
O 0.9293 4.4167 3.0436
O -0.7101 2.0059 0.1371
Au 0.1096 3.2113 1.5904
```

(6)
This record from the Materials Project database describes a relaxed structure of RbAuO. The functional is GGA-PBE.

- E_form (eV/atom) = -1.07
- calculated density (g/cm3) = 6.475

The structure in extended XYZ format:
```
12
Lattice="-5.0732 5.0732 2.9735 5.0732 -5.0732 2.9735 5.0732 5.0732 -2.9735" Properties=species:S:1:pos:R:3 pbc="T T T"
Au 1.5055 1.5055 0.0000
Rb 0.0000 3.1119 2.9735
Rb 5.0732 1.9613 0.0000
O 0.0000 2.9154 0.0000
Rb 1.9613 5.0732 0.0000
O 0.0000 7.2309 0.0000
Rb 3.1119 0.0000 2.9735
O 7.2309 0.0000 0.0000
O 2.9154 0.0000 0.0000
Au -3.5677 3.5677 2.9735
Au 3.5677 -3.5677 2.9735
Au 3.5677 3.5677 2.9735
```

(7)
This record from the Materials Project database describes a relaxed structure of RbAuO3. The functional is GGA-PBE.

- E_form (eV/atom) = -0.52
- calculated density (g/cm3) = 7.315

The structure in extended XYZ format:
```
5
Lattice="4.2173 0.0000 0.0000 0.0000 4.2173 0.0000 0.0000 0.0000 4.2173" Properties=species:S:1:pos:R:3 pbc="T T T"
Au 0.0000 0.0000 0.0000
O 0.0000 0.0000 2.1087
O 2.1087 0.0000 0.0000
Rb 2.1087 2.1087 2.1087
O 0.0000 2.1087 0.0000
```

(8)
This record from the Materials Project database describes a relaxed structure of SrAu2S4O16. The functional is GGA-PBE.

- E_form (eV/atom) = -1.75
- calculated density (g/cm3) = 3.737

The structure in extended XYZ format:
```
46
Lattice="7.9830 4.9768 0.0000 -7.9830 4.9768 0.0000 0.0000 4.4351 9.6830" Properties=species:S:1:pos:R:3 pbc="T T T"
O -2.1580 2.3387 0.8634
O 2.1580 12.0499 8.8196
O 2.1580 4.5563 5.7049
O 1.9040 7.6058 5.4296
O 4.2077 8.0766 5.3576
S 3.1140 7.7163 4.4721
O 0.6183 6.6989 0.9046
S -3.1140 9.9338 9.3136
S 0.9053 4.2536 4.8476
O -4.2077 5.8590 0.5161
O -1.9040 5.3882 0.5881
O 4.2077 8.5296 9.1669
O -4.2077 6.3121 4.3254
O -3.3786 8.5670 8.6532
S -0.9053 2.0361 0.0061
O -1.1385 11.2376 5.7372
Au 0.0000 7.1943 4.8415
Au 0.0000 4.9768 0.0000
Au 3.9915 4.7059 4.8415
O -2.8356 10.8147 8.1961
Sr 5.9123 8.3031 7.2623
O 3.3786 5.8216 1.0298
O 1.1385 3.1511 3.9458
S 3.1140 4.4548 0.3694
O -2.8356 5.7915 6.3284
O -0.6183 8.9165 5.7461
O -0.6183 7.6897 8.7784
O 0.6183 5.4721 3.9369
O -0.1553 12.4789 8.6945
S 0.9053 12.3526 9.6769
O 0.1553 10.2614 3.8530
S -3.1140 6.6724 5.2109
O -1.1385 5.3686 8.7873
O 2.8356 8.5972 3.3546
O -3.3786 8.0392 5.8713
O 1.1385 9.0200 0.8957
O 2.8356 3.5739 1.4869
Sr -5.9123 6.0855 2.4208
O -2.1580 9.8324 3.9781
O 1.9040 9.0004 9.0949
O 3.3786 6.3495 3.8117
O -1.9040 6.7828 4.2534
S -0.9053 10.1350 4.8354
Au -3.9915 2.4884 0.0000
O -0.1553 4.1273 5.8300
O 0.1553 1.9097 0.9885
```

(9)
This record from the Materials Project database describes a relaxed structure of Au2Se2O7. The functional is GGA-PBE.

- E_form (eV/atom) = -0.87
- calculated density (g/cm3) = 6.100

The structure in extended XYZ format:
```
22
Lattice="4.2976 0.0000 0.0000 0.0000 7.2574 0.0000 0.0000 0.0000 11.5875" Properties=species:S:1:pos:R:3 pbc="T T T"
O 2.4314 6.0711 6.7776
O 0.7106 2.7532 1.4534
O 0.7106 0.8755 7.2471
O 3.3234 0.0000 0.0000
O 2.0487 0.2715 2.4246
Se 1.0673 6.5173 7.7829
O 0.7106 6.3819 4.3404
O 2.4314 2.4425 10.6036
Se 1.0673 2.8886 9.5984
O 2.0487 6.9859 9.1629
O 2.4314 4.8149 0.9839
Se 1.0673 0.7401 3.8046
O 3.3234 3.6287 5.7938
O 2.4314 1.1862 4.8099
O 0.7106 4.5042 10.1341
O 2.0487 3.9002 3.3692
Au 2.1161 2.2231 6.5284
Au 2.1161 5.8518 10.8529
O 2.0487 3.3572 8.2183
Se 1.0673 4.3688 1.9891
Au 2.1161 1.4055 0.7346
Au 2.1161 5.0342 5.0591
```

(10)
This record from the Materials Project database describes a relaxed structure of Au2Se3O10. The functional is GGA-PBE.

- E_form (eV/atom) = -0.91
- calculated density (g/cm3) = 5.301

The structure in extended XYZ format:
```
30
Lattice="2.4333 8.9524 -0.5432 -7.1642 -5.2382 2.7564 3.4605 -0.4464 8.1462" Properties=species:S:1:pos:R:3 pbc="T T T"
O 0.0544 -1.8625 6.2474
O -0.4933 0.8655 2.2877
Au -0.3241 4.1094 2.1304
Se 1.7419 6.6072 2.4926
O -2.4100 2.7807 4.9488
O -2.1045 -1.6630 2.2475
Au -3.3622 -0.3827 3.1749
O -1.0494 2.4375 7.4304
O -3.1865 0.8474 1.5660
O -1.6226 -1.9875 8.7701
O 1.1252 3.1123 1.1372
Se -1.5473 1.3052 1.1129
Se -4.7067 -2.9274 4.7095
O -1.1912 0.4161 5.5150
Au -1.4076 -0.7820 7.1430
O 2.1178 0.3611 7.7131
O -4.8745 0.8719 3.6707
Se -2.6818 -3.3819 8.6447
O -1.9406 5.2098 2.6621
O 2.9631 4.7927 7.1936
O -3.0886 0.2450 7.5905
O 2.9882 2.4754 5.2388
O 1.0409 5.1666 3.2103
O 0.3050 2.6283 5.0007
Au 1.6305 3.7100 6.0985
Se 3.7668 6.1527 6.4278
Se -1.1776 2.1502 5.8224
O -1.6903 3.0596 1.0516
O 0.1410 5.0202 6.4801
O -3.5448 -1.6136 4.7868
```

(11)
This record from the Materials Project database describes a relaxed structure of Au2Se4O11. The functional is GGA-PBE.

- E_form (eV/atom) = -0.99
- calculated density (g/cm3) = 5.196

The structure in extended XYZ format:
```
34
Lattice="10.2250 -2.7910 0.9129 10.2998 -0.3517 -2.6391 7.8032 9.3566 6.5895" Properties=species:S:1:pos:R:3 pbc="T T T"
Se 16.8973 1.1553 2.5183
O 19.8710 -0.2703 -0.0629
O 10.3778 3.6447 2.2975
O 14.2673 7.9276 6.1680
O 10.4014 -0.0710 -0.6230
O 5.8990 4.4530 3.0893
Se 7.4899 -0.8973 0.9107
O 20.6047 3.4999 2.5967
O 8.4570 6.4843 4.9262
O 16.0787 4.2690 5.7931
Se 11.4307 5.0586 2.3450
O 26.3333 6.5258 4.9427
Se 17.6858 4.6269 4.9057
Se 14.5050 5.0000 5.0950
O 1.9947 -0.3118 -0.0794
O 4.5639 2.0816 1.2301
O 23.7641 4.1323 3.6332
Au 3.9016 4.6783 3.2947
O 14.2803 3.8673 3.7494
Se 10.6422 1.5871 -0.0424
Au 5.1499 -0.1759 -1.3196
O 17.9502 2.5692 2.5658
O 22.4290 1.7609 1.7740
O 14.0477 2.3466 1.1139
Se 13.8230 1.2140 -0.2317
Au 9.0141 3.2828 3.7512
Au 0.0000 0.0000 0.0000
O 11.6318 7.6165 5.2348
O 17.9266 6.2849 5.4862
Se 20.8380 7.1113 3.9525
O 7.7233 2.7140 2.2666
O 14.0607 -1.7137 -1.3047
O 12.2493 1.9449 -0.9298
O 16.6962 -1.4026 -0.3715
```

(12)
This record from the Materials Project database describes a relaxed structure of Sm3AuO6. The functional is GGA-PBE.

- E_form (eV/atom) = -3.08
- calculated density (g/cm3) = 8.305

The structure in extended XYZ format:
```
10
Lattice="3.7459 0.0000 0.0000 -0.1112 5.6760 0.0000 -1.5733 -0.1049 6.9974" Properties=species:S:1:pos:R:3 pbc="T T T"
O 2.9264 1.1506 1.4578
Au 0.0000 0.0000 0.0000
O 2.9064 3.9305 0.8018
Sm 1.0421 2.6479 1.6438
O 0.9724 4.1727 3.3426
Sm -0.7866 -0.0525 3.4987
O 1.0891 1.3984 3.6548
O -0.8450 1.6405 6.1956
O -0.8649 4.4204 5.5396
Sm 1.0194 2.9232 5.3536
```

(13)
This record from the Materials Project database describes a relaxed structure of SrAu2O8. The functional is GGA-PBE.

- E_form (eV/atom) = -0.55
- calculated density (g/cm3) = 6.488

The structure in extended XYZ format:
```
11
Lattice="4.8578 0.0000 0.0000 0.0000 4.8578 0.0000 -2.4289 -2.4289 6.6109" Properties=species:S:1:pos:R:3 pbc="T T T"
O 0.5606 1.9818 1.7311
O 2.9895 0.4471 4.8798
O 0.4471 1.8683 4.8798
O 1.8683 -0.4471 4.8798
O 1.9818 -0.5606 1.7311
O -0.4471 2.9895 4.8798
Au 2.4289 2.4289 4.7157
O -0.5606 2.8760 1.7311
Sr 2.4289 2.4289 0.0000
Au 0.0000 0.0000 1.8952
O 2.8760 0.5606 1.7311
```

(14)
This record from the Materials Project database describes a relaxed structure of SrAuO2. The functional is GGA-PBE.

- E_form (eV/atom) = -1.86
- calculated density (g/cm3) = 8.017

The structure in extended XYZ format:
```
8
Lattice="4.9821 3.5848 0.0000 -4.9821 3.5848 0.0000 0.0000 0.0020 3.6716" Properties=species:S:1:pos:R:3 pbc="T T T"
Au 0.0000 0.0010 1.8358
O 2.0640 3.5858 1.8358
Sr -2.4910 1.7924 0.0000
Sr 2.4910 1.7924 0.0000
O 0.0000 5.3915 0.8198
O -2.0640 3.5858 1.8358
O 0.0000 1.7802 2.8518
Au 0.0000 3.5858 1.8358
```

(15)
This record from the Materials Project database describes a relaxed structure of Sr2AuO4. The functional is GGA-PBE.

- E_form (eV/atom) = -1.66
- calculated density (g/cm3) = 6.524

The structure in extended XYZ format:
```
14
Lattice="-5.6230 0.3545 4.6189 -4.3642 -2.8415 -5.0949 5.8857 -2.6032 1.6192" Properties=species:S:1:pos:R:3 pbc="T T T"
O -1.0531 -2.4898 4.6496
O -3.9583 -0.2776 3.5502
Au 0.0000 0.0000 0.0000
O -0.4202 -3.1030 -0.2683
Sr -3.6795 -1.4948 1.3810
O -3.4007 -2.7120 -0.7881
O -1.4159 -0.4407 1.4540
Au -1.7361 -3.3441 -1.8568
Sr 2.0748 -2.9737 -0.1188
O -3.0345 -3.7763 2.3466
Sr -5.8616 -2.9156 -1.1664
Sr -0.7367 -2.7964 2.1907
O 1.5611 -1.8165 2.0348
O -5.9432 -2.5489 1.3081
```

(16)
This record from the Materials Project database describes a relaxed structure of ZnAuO3. The functional is GGA-PBE.

- E_form (eV/atom) = -0.15
- calculated density (g/cm3) = 8.463

The structure in extended XYZ format:
```
5
Lattice="3.9342 0.0000 0.0000 0.0000 3.9342 0.0000 0.0000 0.0000 3.9342" Properties=species:S:1:pos:R:3 pbc="T T T"
Au 0.0000 0.0000 0.0000
O 1.9671 1.9671 0.0000
O 1.9671 0.0000 1.9671
O 0.0000 1.9671 1.9671
Zn 1.9671 1.9671 1.9671
```

(17)
This record from the Materials Project database describes a relaxed structure of OsAu3. The functional is GGA-PBE.

- energy relative to the lowest polymorph listed for this composition (eV/atom) = 0.034
- E_form (eV/atom) = 0.69
- calculated density (g/cm3) = 18.952

The structure in extended XYZ format:
```
4
Lattice="-2.2263 -1.5301 3.0715 -0.5985 -3.4320 -2.1435 3.3789 -1.6161 1.6441" Properties=species:S:1:pos:R:3 pbc="T T T"
Au 0.5763 -1.5731 2.3578
Os 0.0000 0.0000 0.0000
Au -1.4124 -2.4811 0.4640
Au 1.3902 -2.5241 -0.2497
```

(18)
This record from the Materials Project database describes a relaxed structure of OsAu3. The functional is GGA-PBE.

- energy relative to the lowest polymorph listed for this composition (eV/atom) = 0.000
- E_form (eV/atom) = 0.65
- calculated density (g/cm3) = 18.906

The structure in extended XYZ format:
```
4
Lattice="-0.7178 2.6726 4.0453 -4.3307 -1.4477 1.7810 3.8843 -2.6930 -1.2973" Properties=species:S:1:pos:R:3 pbc="T T T"
Au -1.4853 -1.7641 1.6984
Au 0.3211 0.2960 2.8306
Os 0.0000 0.0000 0.0000
Au -2.5242 0.6124 2.9132
```

(19)
This record from the Materials Project database describes a relaxed structure of Sc2OsAu. The functional is GGA-PBE.

- E_form (eV/atom) = -0.59
- calculated density (g/cm3) = 10.963

The structure in extended XYZ format:
```
4
Lattice="1.4095 2.0905 3.9372 -1.3836 4.3626 0.9548 -3.0526 0.7811 3.4540" Properties=species:S:1:pos:R:3 pbc="T T T"
Sc -2.2701 5.4257 6.2595
Au -1.5134 3.6171 4.1730
Os 0.0000 0.0000 0.0000
Sc -0.7567 1.8086 2.0865
```

(20)
This record from the Materials Project database describes a relaxed structure of PAu3. The functional is GGA-PBE.

- energy relative to the lowest polymorph listed for this composition (eV/atom) = 0.000
- E_form (eV/atom) = 0.30
- calculated density (g/cm3) = 14.472

The structure in extended XYZ format:
```
8
Lattice="-2.1735 4.6725 -2.9966 1.9410 -4.7974 -2.9588 -4.2492 -1.8454 0.2046" Properties=species:S:1:pos:R:3 pbc="T T T"
Au -0.7730 -1.2948 -1.4583
Au -4.6637 1.6849 -2.8368
Au -3.7087 -0.6754 -4.2925
P -2.6174 -3.0248 -2.8179
Au 0.1820 -3.6552 -2.9140
Au -3.5943 -0.6140 -1.3624
Au -0.8874 -1.3562 -4.3884
P -1.8643 1.0545 -2.9329
```